Entry 1:
Compound: NaAl3Tl2Si3O12
Source: Materials Project
Functional: PBE
Structure: optimized geometry

Results
Total magnetic moment ... 0.0000 μB/atom
Crystal system ... tetragonal
E_tot ... -580.42 eV/cell

a b c (Å): 12.551 12.551 12.420
angles (deg): 90.00 90.00 90.00
Fractional positions:
O 0.893 0.107 0.356
O 0.000 0.275 0.287
O 0.500 0.227 0.006
O 0.500 0.000 0.757
Al 0.000 0.625 0.821
Na 0.000 0.609 0.568
O 0.343 0.121 0.111
Si 0.189 0.374 0.003
O 0.294 0.000 0.709
Al 0.375 0.000 0.821
Al 0.000 0.371 0.183
O 0.121 0.343 0.111
O 0.232 0.000 0.495
O 0.000 0.294 0.709
O 0.500 0.773 0.006
Al 0.181 0.000 0.631
Al 0.819 0.000 0.631
O 0.650 0.881 0.895
O 0.119 0.881 0.654
O 0.881 0.350 0.895
O 0.000 0.706 0.709
Tl 0.749 0.749 0.247
Al 0.000 0.375 0.821
Al 0.629 0.000 0.183
O 0.000 0.500 0.232
Si 0.819 0.000 0.374
O 0.343 0.879 0.111
Tl 0.755 0.755 0.745
O 0.893 0.893 0.356
O 0.700 0.300 0.003
O 0.107 0.893 0.356
Si 0.626 0.189 0.003
O 0.881 0.650 0.895
O 0.000 0.725 0.287
O 0.650 0.119 0.895
O 0.879 0.657 0.111
Tl 0.755 0.245 0.745
Al 0.625 0.000 0.821
O 0.119 0.650 0.895
Si 0.811 0.374 0.003
O 0.500 0.000 0.232
O 0.107 0.107 0.356
O 0.879 0.343 0.111
Si 0.000 0.181 0.374
O 0.227 0.500 0.006
O 0.350 0.881 0.895
Si 0.000 0.819 0.374
Si 0.811 0.626 0.003
O 0.768 0.000 0.495
O 0.881 0.119 0.654
O 0.773 0.500 0.006
Tl 0.245 0.755 0.745
O 0.300 0.300 0.003
Na 0.391 0.000 0.568
Al 0.371 0.000 0.183
Tl 0.251 0.749 0.247
O 0.119 0.119 0.654
Al 0.000 0.629 0.183
Si 0.181 0.000 0.374
Si 0.374 0.189 0.003
O 0.700 0.700 0.003
Tl 0.251 0.251 0.247
O 0.119 0.350 0.895
O 0.725 0.000 0.287
O 0.121 0.657 0.111
O 0.000 0.500 0.757
Tl 0.245 0.245 0.745
Al 0.000 0.181 0.631
O 0.657 0.879 0.111
Na 0.609 0.000 0.568
O 0.706 0.000 0.709
O 0.657 0.121 0.111
Al 0.000 0.819 0.631
Na 0.000 0.391 0.568
O 0.000 0.768 0.495
O 0.300 0.700 0.003
O 0.275 0.000 0.287
Si 0.374 0.811 0.003
Si 0.189 0.626 0.003
O 0.881 0.881 0.654
Tl 0.749 0.251 0.247
O 0.350 0.119 0.895
O 0.000 0.232 0.495
Si 0.626 0.811 0.003



Entry 2:
Compound: NaTi3AlO8
Source: Materials Project
Functional: PBE
Structure: optimized geometry

Results
Total magnetic moment ... 0.0000 μB/atom
Crystal system ... monoclinic
E_tot ... -106.10 eV/cell

a b c (Å): 3.800 6.403 6.510
angles (deg): 107.37 90.00 72.74
Fractional positions:
Al 0.703 0.595 0.696
O 0.443 0.114 0.367
O 0.556 0.888 0.645
O 0.858 0.283 0.711
O 0.371 0.259 0.014
Ti 0.398 0.204 0.704
Ti 0.604 0.791 0.281
O 0.631 0.738 0.993
Ti 0.297 0.406 0.302
O 0.231 0.538 0.655
O 0.764 0.472 0.359
Na 0.007 0.986 0.982
O 0.137 0.726 0.292



Entry 3:
Compound: Na3AlP2
Source: Materials Project
Functional: PBE
Structure: optimized geometry

Results
Crystal system ... orthorhombic
E_tot ... -43.21 eV/cell

a b c (Å): 8.048 8.048 8.048
angles (deg): 135.76 129.76 69.14
Fractional positions:
Na 0.500 0.750 0.250
Na 0.991 0.808 0.183
P 0.298 0.101 0.197
Na 0.500 0.250 0.750
Al 0.000 0.750 0.750
Na 0.009 0.192 0.817
Al 0.000 0.250 0.250
P 0.702 0.899 0.803
Na 0.376 0.692 0.683
Na 0.624 0.308 0.317
P 0.904 0.601 0.303
P 0.096 0.399 0.697



Entry 4:
Compound: Na3AlS3
Source: Materials Project
Functional: PBE
Structure: optimized geometry

Results
Crystal system ... monoclinic
E_tot ... -227.61 eV/cell

a b c (Å): 12.156 7.658 13.802
angles (deg): 81.18 90.00 90.00
Fractional positions:
Na 0.692 0.030 0.759
S 0.501 0.879 0.904
Na 0.982 0.082 0.806
Na 0.913 0.110 0.364
S 0.317 0.738 0.631
Na 0.808 0.530 0.759
Na 0.518 0.582 0.806
Na 0.308 0.970 0.241
S 0.640 0.691 0.145
S 0.140 0.809 0.855
S 0.001 0.621 0.096
Na 0.175 0.495 0.758
Al 0.507 0.173 0.927
S 0.966 0.593 0.602
S 0.110 0.877 0.386
Na 0.755 0.995 0.012
S 0.390 0.377 0.386
Na 0.413 0.390 0.636
Na 0.245 0.005 0.988
Na 0.587 0.610 0.364
Na 0.018 0.918 0.194
Na 0.745 0.495 0.012
Al 0.479 0.822 0.566
S 0.667 0.295 0.875
S 0.817 0.762 0.369
Na 0.482 0.418 0.194
Na 0.087 0.890 0.636
Na 0.758 0.413 0.527
Na 0.825 0.505 0.242
S 0.466 0.907 0.398
Na 0.242 0.587 0.473
S 0.833 0.795 0.875
Na 0.258 0.087 0.473
S 0.860 0.191 0.145
Na 0.255 0.505 0.988
Al 0.007 0.327 0.073
Al 0.521 0.178 0.434
S 0.360 0.309 0.855
S 0.183 0.238 0.631
Al 0.993 0.673 0.927
S 0.683 0.262 0.369
S 0.499 0.121 0.096
S 0.034 0.407 0.398
Na 0.675 0.005 0.242
S 0.610 0.623 0.614
Na 0.325 0.995 0.758
S 0.999 0.379 0.904
Al 0.979 0.678 0.434
S 0.333 0.705 0.125
S 0.534 0.093 0.602
S 0.890 0.123 0.614
Na 0.192 0.470 0.241
S 0.167 0.205 0.125
Al 0.493 0.827 0.073
Na 0.742 0.913 0.527
Al 0.021 0.322 0.566



Entry 5:
Compound: Na7Al2Sb5
Source: Materials Project
Functional: PBE
Structure: optimized geometry

Results
Crystal system ... monoclinic
E_tot ... -85.41 eV/cell

a b c (Å): 14.015 7.699 8.205
angles (deg): 62.28 90.00 90.00
Fractional positions:
Na 0.925 0.892 0.416
Na 0.577 0.191 0.884
Sb 0.599 0.470 0.464
Al 0.912 0.413 0.161
Na 0.750 0.770 0.145
Sb 0.750 0.198 0.166
Na 0.423 0.809 0.116
Al 0.088 0.587 0.839
Na 0.075 0.108 0.584
Al 0.412 0.587 0.839
Sb 0.423 0.226 0.149
Na 0.250 0.440 0.262
Na 0.077 0.809 0.116
Sb 0.099 0.530 0.536
Na 0.575 0.892 0.416
Sb 0.401 0.530 0.536
Na 0.250 0.901 0.404
Al 0.588 0.413 0.161
Sb 0.901 0.470 0.464
Sb 0.077 0.226 0.149
Sb 0.923 0.774 0.851
Na 0.750 0.560 0.738
Na 0.923 0.191 0.884
Sb 0.250 0.802 0.834
Na 0.250 0.230 0.855
Sb 0.577 0.774 0.851
Na 0.425 0.108 0.584
Na 0.750 0.099 0.596



Entry 6:
Compound: NaAlSe2
Source: Materials Project
Functional: PBE
Structure: optimized geometry

Results
Crystal system ... tetragonal
E_tot ... -32.24 eV/cell

a b c (Å): 6.315 6.315 6.315
angles (deg): 104.79 104.79 119.30
Fractional positions:
Se 0.669 0.169 0.837
Se 0.831 0.669 0.500
Al 0.250 0.750 0.500
Se 0.169 0.331 0.500
Na 0.250 0.250 0.000
Al 0.750 0.250 0.500
Na 0.750 0.750 0.000
Se 0.331 0.831 0.163



Entry 7:
Compound: NaAlSe2
Source: Materials Project
Functional: PBE
Structure: optimized geometry

Results
Crystal system ... monoclinic
E_tot ... -129.44 eV/cell

a b c (Å): 7.654 7.654 14.309
angles (deg): 82.27 82.27 90.01
Fractional positions:
Se 0.364 0.739 0.546
Al 0.712 0.584 0.152
Na 0.658 0.781 0.373
Se 0.570 0.430 0.750
Se 0.430 0.054 0.250
Na 0.779 0.154 0.881
Al 0.288 0.910 0.848
Se 0.636 0.261 0.454
Se 0.570 0.946 0.750
Na 0.781 0.658 0.873
Se 0.946 0.570 0.250
Se 0.739 0.364 0.046
Se 0.263 0.137 0.950
Al 0.416 0.288 0.348
Se 0.737 0.863 0.050
Na 0.154 0.779 0.381
Al 0.584 0.712 0.652
Se 0.137 0.263 0.450
Al 0.288 0.416 0.848
Na 0.219 0.342 0.127
Se 0.430 0.570 0.250
Se 0.946 0.054 0.250
Na 0.221 0.846 0.119
Se 0.054 0.430 0.750
Al 0.712 0.090 0.152
Na 0.846 0.221 0.619
Se 0.054 0.946 0.750
Na 0.342 0.219 0.627
Al 0.910 0.288 0.348
Se 0.261 0.636 0.954
Al 0.090 0.712 0.652
Se 0.863 0.737 0.550



Entry 8:
Compound: NaAlSi4
Source: Materials Project
Functional: PBE
Structure: optimized geometry

Results
Total magnetic moment ... 0.0000 μB/atom
Crystal system ... tetragonal
E_tot ... -25.03 eV/cell

a b c (Å): 4.334 4.334 5.996
angles (deg): 90.00 90.00 90.00
Fractional positions:
Si 0.500 0.500 0.216
Si 0.500 0.000 0.990
Na 0.000 0.000 0.338
Si 0.000 0.000 0.794
Si 0.000 0.500 0.990
Al 0.500 0.500 0.672



Entry 9:
Compound: Na3AlSiTe4
Source: Materials Project
Functional: PBE
Structure: optimized geometry

Results
Total magnetic moment ... 0.0000 μB/atom
Crystal system ... triclinic
E_tot ... -29.52 eV/cell

a b c (Å): 4.369 7.947 10.081
angles (deg): 121.21 90.05 100.65
Fractional positions:
Na 0.440 0.967 0.410
Na 0.931 0.000 0.123
Te 0.515 0.299 0.325
Al 0.331 0.570 0.918
Na 0.423 0.144 0.893
Te 0.618 0.754 0.788
Te 0.038 0.220 0.663
Si 0.108 0.454 0.532
Te 0.847 0.592 0.099



Entry 10:
Compound: Na3AlSiTe4
Source: Materials Project
Functional: PBE
Structure: optimized geometry

Results
Total magnetic moment ... 0.0000 μB/atom
Crystal system ... triclinic
E_tot ... -29.38 eV/cell

a b c (Å): 4.367 8.846 9.077
angles (deg): 61.75 84.28 80.59
Fractional positions:
Si 0.895 0.502 0.925
Te 0.441 0.759 0.958
Te 0.074 0.169 0.502
Na 0.492 0.437 0.600
Na 0.735 0.851 0.199
Te 0.889 0.702 0.574
Na 0.087 0.117 0.856
Al 0.611 0.955 0.641
Te 0.527 0.259 0.995



Entry 11:
Compound: Na3AlTe3
Source: Materials Project
Functional: PBE
Structure: optimized geometry

Results
Crystal system ... monoclinic
E_tot ... -91.00 eV/cell

a b c (Å): 7.835 8.129 16.320
angles (deg): 60.43 90.00 90.00
Fractional positions:
Te 0.744 0.656 0.269
Al 0.359 0.335 0.582
Na 0.997 0.277 0.896
Te 0.703 0.343 0.575
Te 0.259 0.045 0.074
Te 0.797 0.343 0.075
Te 0.203 0.657 0.925
Al 0.641 0.665 0.418
Te 0.756 0.656 0.769
Al 0.859 0.665 0.918
Te 0.741 0.955 0.926
Na 0.501 0.683 0.102
Al 0.141 0.335 0.082
Na 0.503 0.277 0.396
Te 0.759 0.955 0.426
Na 0.999 0.683 0.602
Na 0.497 0.723 0.604
Na 0.020 0.946 0.279
Te 0.241 0.045 0.574
Te 0.244 0.344 0.231
Na 0.520 0.054 0.221
Te 0.297 0.657 0.425
Te 0.256 0.344 0.731
Na 0.001 0.317 0.398
Na 0.003 0.723 0.104
Na 0.499 0.317 0.898
Na 0.980 0.054 0.721
Na 0.480 0.946 0.779



Entry 12:
Compound: NaAlTe2
Source: Materials Project
Functional: PBE
Structure: optimized geometry

Results
Crystal system ... tetragonal
E_tot ... -28.07 eV/cell

a b c (Å): 6.808 6.808 6.808
angles (deg): 104.77 104.77 119.34
Fractional positions:
Te 0.327 0.173 0.500
Na 0.750 0.750 0.000
Te 0.827 0.327 0.153
Te 0.173 0.673 0.847
Al 0.750 0.250 0.500
Na 0.250 0.250 0.000
Te 0.673 0.827 0.500
Al 0.250 0.750 0.500



Here are the calculated E_form numbers, same order: -2877, -3327, -511, -1405, -448, -1251, -1266, 337, -611, -595, -982, -881 (meV/atom).